(1)
Li2FeSiO4 | GGA+U | relaxed

a b c (Å): 5.077 6.288 10.968
angles (deg): 90.00 90.00 90.00
Element x y z (fractional)
O 0.656 0.998 0.809
O 0.588 0.498 0.833
O 0.156 0.002 0.191
O 0.656 0.502 0.309
O 0.664 0.281 0.093
O 0.658 0.783 0.594
O 0.158 0.283 0.906
O 0.158 0.217 0.406
O 0.164 0.781 0.407
O 0.658 0.717 0.094
O 0.664 0.219 0.593
O 0.156 0.498 0.691
O 0.588 0.002 0.333
O 0.088 0.502 0.167
O 0.088 0.998 0.667
O 0.164 0.719 0.907
Si 0.764 0.500 0.166
Si 0.764 0.000 0.666
Si 0.264 0.000 0.334
Si 0.264 0.500 0.834
Li 0.258 0.501 0.327
Li 0.758 0.001 0.173
Li 0.258 0.999 0.827
Li 0.258 0.746 0.089
Li 0.758 0.254 0.911
Li 0.258 0.754 0.589
Li 0.758 0.499 0.673
Li 0.758 0.246 0.411
Fe 0.757 0.750 0.417
Fe 0.257 0.250 0.583
Fe 0.257 0.250 0.083
Fe 0.757 0.750 0.917

Calculated values
As for the energy with MP2020 corrections: -0.266 Ha/atom. The calculation puts the raw total energy at -6.6123 eV/atom.



(2)
Li2Fe2Si2O7 | GGA+U | relaxed

a b c (Å): 4.937 13.341 4.937
angles (deg): 90.05 61.83 89.93
Element x y z (fractional)
O 0.629 0.945 0.922
O 0.871 0.634 0.338
O 0.663 0.365 0.128
O 0.279 0.130 0.744
O 0.156 0.250 0.372
O 0.661 0.134 0.130
O 0.257 0.630 0.721
O 0.077 0.055 0.371
O 0.280 0.370 0.742
O 0.078 0.445 0.370
O 0.872 0.865 0.337
O 0.628 0.750 0.844
O 0.258 0.870 0.720
O 0.629 0.555 0.923
Fe 0.967 0.500 0.033
Fe 0.979 0.750 0.014
Fe 0.986 0.250 0.021
Fe 0.966 0.000 0.034
Si 0.304 0.138 0.400
Si 0.601 0.862 0.695
Si 0.601 0.638 0.696
Si 0.305 0.362 0.399
Li 0.650 0.082 0.748
Li 0.252 0.918 0.349
Li 0.252 0.582 0.349
Li 0.651 0.418 0.748

Calculated values
As for the energy with MP2020 corrections: -0.280 Ha/atom. As for the maximum piezoelectric response: 0.64 C/m². The calculation puts the raw total energy at -6.9080 eV/atom.



It is found that the formation energy values, taken in the order of the records, are -20.40; -32.88 eV/f.u..
It is found that the density values, taken in the order of the records, are 3.07; 3.40 g/cm³.